# 1
Compound: TaSnS2
Source: the Materials Project database
Functional: PBE
Structure: optimized geometry

Cell: 3.3409 3.3409 17.6477 Å, 90.00 90.00 120.00°
With the nearest neighbours (Å) after each atom.
Element x y z (fractional)
Ta: 0.3333 0.6667 0.2500  6 S 2.48
Ta: 0.6667 0.3333 0.7500  6 S 2.48
Sn: 0.0000 0.0000 0.0000  2 S 2.85
Sn: 0.0000 0.0000 0.5000  2 S 2.85
S: 0.0000 0.0000 0.1616  3 Ta 2.48
S: 0.0000 0.0000 0.3384  3 Ta 2.48
S: 0.0000 0.0000 0.6616  3 Ta 2.48
S: 0.0000 0.0000 0.8384  3 Ta 2.48

Computed properties:
- DFT total energy: -0.506 Ry per atom
- Space-group type: No. 194

# 2
Compound: GaSe
Source: the Materials Project database
Functional: PBE
Structure: optimized geometry

Cell: 3.8182 3.8182 26.5806 Å, 90.00 90.00 120.00°
With the nearest neighbours (Å) after each atom.
Element x y z (fractional)
Ga: 0.0000 0.0000 0.0000  1 Ga 2.47, 3 Se 2.50
Ga: 0.0000 0.0000 0.0930  1 Ga 2.47, 3 Se 2.50
Ga: 0.3333 0.6667 0.6667  1 Ga 2.47, 3 Se 2.50
Ga: 0.3333 0.6667 0.7597  1 Ga 2.47, 3 Se 2.50
Ga: 0.6667 0.3333 0.3333  1 Ga 2.47, 3 Se 2.50
Ga: 0.6667 0.3333 0.4263  1 Ga 2.47, 3 Se 2.50
Se: 0.0000 0.0000 0.2892  3 Ga 2.50
Se: 0.0000 0.0000 0.4705  3 Ga 2.50
Se: 0.3333 0.6667 0.1371  3 Ga 2.50
Se: 0.3333 0.6667 0.9559  3 Ga 2.50
Se: 0.6667 0.3333 0.6225  3 Ga 2.50
Se: 0.6667 0.3333 0.8038  3 Ga 2.50

Computed properties:
- DFT total energy: -0.283 Ry per atom
- Space-group type: No. 160
- Piezoelectric modulus e_max: 0.2 C/m2

# 3
Compound: ZnSn2O4
Source: the Materials Project database
Functional: PBE
Structure: optimized geometry

Cell: 6.5527 6.5527 6.5527 Å, 60.87 60.87 60.87°
With the nearest neighbours (Å) after each atom.
Element x y z (fractional)
Zn: 0.0000 0.0000 0.0000  4 O 2.14-2.16
Zn: 0.3792 0.3792 0.3792  6 O 2.17-2.28
Sn: 0.3774 0.3774 0.8823  6 O 2.16-2.27
Sn: 0.3774 0.8823 0.3774  6 O 2.16-2.27
Sn: 0.7583 0.7583 0.7583  4 O 2.34-2.35
Sn: 0.8823 0.3774 0.3774  6 O 2.16-2.27
O: 0.1342 0.1342 0.1342  1 Zn 2.14, 3 Sn 2.27
O: 0.1351 0.1351 0.6004  2 Zn 2.16-2.28, 2 Sn 2.22
O: 0.1351 0.6004 0.1351  2 Zn 2.16-2.28, 2 Sn 2.22
O: 0.1909 0.6107 0.6107  3 Sn 2.16-2.34, 1 Zn 2.17
O: 0.6004 0.1351 0.1351  2 Zn 2.16-2.28, 2 Sn 2.22
O: 0.6107 0.1909 0.6107  3 Sn 2.16-2.34, 1 Zn 2.17
O: 0.6107 0.6107 0.1909  3 Sn 2.16-2.34, 1 Zn 2.17
O: 0.6107 0.6107 0.6107  4 Sn 2.20-2.35

Computed properties:
- Energy relative to the lowest polymorph listed for this composition: 115.4 meV per atom
- DFT total energy: -0.399 Ry per atom
- Space-group type: No. 160

# 4
Compound: K2AlAuI6
Source: the Materials Project database
Functional: PBE
Structure: optimized geometry

Cell: 8.2011 8.2011 8.2011 Å, 60.00 60.00 60.00°
With the nearest neighbours (Å) after each atom.
Element x y z (fractional)
K: 0.2500 0.2500 0.2500  12 I 4.10
K: 0.7500 0.7500 0.7500  12 I 4.10
Al: 0.0000 0.0000 0.0000  6 I 2.82
Au: 0.5000 0.5000 0.5000  6 I 2.98
I: 0.2430 0.2430 0.7570  1 Al 2.82, 1 Au 2.98
I: 0.2430 0.7570 0.2430  1 Al 2.82, 1 Au 2.98
I: 0.2430 0.7570 0.7570  1 Al 2.82, 1 Au 2.98
I: 0.7570 0.2430 0.2430  1 Al 2.82, 1 Au 2.98
I: 0.7570 0.2430 0.7570  1 Al 2.82, 1 Au 2.98
I: 0.7570 0.7570 0.2430  1 Al 2.82, 1 Au 2.98

Computed properties:
- DFT total energy: -0.189 Ry per atom
- Space-group type: No. 225

# 5
Compound: ReBi9O17
Source: the Materials Project database
Functional: PBE
Structure: optimized geometry

Cell: 10.0919 20.1275 11.8237 Å, 90.00 125.11 90.00°
With the nearest neighbours (Å) after each atom.
Element x y z (fractional)
Re: 0.1353 0.0603 0.1804  4 O 1.75-1.76
Re: 0.1353 0.4397 0.6804  4 O 1.75-1.76
Re: 0.8647 0.5603 0.3196  4 O 1.75-1.76
Re: 0.8647 0.9397 0.8196  4 O 1.75-1.76
Bi: 0.1076 0.2259 0.6855  4 O 2.16-2.40
Bi: 0.1076 0.2741 0.1855  4 O 2.16-2.40
Bi: 0.1203 0.0495 0.6738  3 O 2.14-2.26
Bi: 0.1203 0.4505 0.1738  3 O 2.14-2.26
Bi: 0.1272 0.6663 0.6922  3 O 2.11-2.30
Bi: 0.1272 0.8337 0.1922  3 O 2.11-2.30
Bi: 0.1621 0.6576 0.1948  4 O 2.15-2.41
Bi: 0.1621 0.8424 0.6948  4 O 2.15-2.41
Bi: 0.3616 0.5536 0.0605  3 O 2.12-2.19
Bi: 0.3616 0.9464 0.5605  3 O 2.12-2.19
Bi: 0.3938 0.1555 0.0545  4 O 2.17-2.40
Bi: 0.3938 0.3445 0.5545  4 O 2.17-2.40
Bi: 0.3998 0.5531 0.5645  3 O 2.12-2.21
Bi: 0.3998 0.9469 0.0645  3 O 2.12-2.21
Bi: 0.4168 0.1471 0.6088  4 O 2.18-2.39
Bi: 0.4168 0.3529 0.1088  4 O 2.18-2.39
Bi: 0.4165 0.7478 0.0957  4 O 2.27-2.49
Bi: 0.4165 0.7522 0.5957  4 O 2.27-2.49
Bi: 0.5835 0.2478 0.4043  4 O 2.27-2.49
Bi: 0.5835 0.2522 0.9043  4 O 2.27-2.49
Bi: 0.5832 0.6471 0.8912  4 O 2.18-2.39
Bi: 0.5832 0.8529 0.3912  4 O 2.18-2.39
Bi: 0.6002 0.0531 0.9355  3 O 2.12-2.21
Bi: 0.6002 0.4469 0.4355  3 O 2.12-2.21
Bi: 0.6062 0.6555 0.4455  4 O 2.17-2.40
Bi: 0.6062 0.8445 0.9455  4 O 2.17-2.40
Bi: 0.6384 0.0536 0.4395  3 O 2.12-2.19
Bi: 0.6384 0.4464 0.9395  3 O 2.12-2.19
Bi: 0.8379 0.1576 0.3052  4 O 2.15-2.41
Bi: 0.8379 0.3424 0.8052  4 O 2.15-2.41
Bi: 0.8728 0.1663 0.8078  3 O 2.11-2.30
Bi: 0.8728 0.3337 0.3078  3 O 2.11-2.30
Bi: 0.8797 0.5495 0.8262  3 O 2.14-2.26
Bi: 0.8797 0.9505 0.3262  3 O 2.14-2.26
Bi: 0.8924 0.7259 0.8145  4 O 2.16-2.40
Bi: 0.8924 0.7741 0.3145  4 O 2.16-2.40
O: 0.0232 0.1362 0.7256  3 Bi 2.16-2.30
O: 0.0232 0.3638 0.2256  3 Bi 2.16-2.30
O: 0.0428 0.6043 0.3736  1 Re 1.76
O: 0.0428 0.8957 0.8736  1 Re 1.76
O: 0.0520 0.7426 0.2409  3 Bi 2.18-2.32
O: 0.0520 0.7574 0.7409  3 Bi 2.18-2.32
O: 0.1312 0.5341 0.0205  2 Bi 2.13-2.26
O: 0.1312 0.9659 0.5205  2 Bi 2.13-2.26
O: 0.1431 0.5148 0.7594  1 Re 1.75
O: 0.1431 0.9852 0.2594  1 Re 1.75
O: 0.1451 0.0464 0.0388  1 Re 1.76
O: 0.1451 0.4536 0.5388  1 Re 1.76
O: 0.1734 0.1341 0.5972  1 Bi 2.14
O: 0.1734 0.3659 0.0972  1 Bi 2.14
O: 0.1859 0.7434 0.0986  3 Bi 2.15-2.37
O: 0.1859 0.7566 0.5986  3 Bi 2.15-2.37
O: 0.3025 0.1093 0.3028  1 Re 1.76
O: 0.3025 0.3907 0.8028  1 Re 1.76
O: 0.3322 0.2280 0.8902  2 Bi 2.16-2.21
O: 0.3322 0.2720 0.3902  2 Bi 2.16-2.21
O: 0.3504 0.6576 0.8878  2 Bi 2.11-2.34
O: 0.3504 0.8424 0.3878  2 Bi 2.11-2.34
O: 0.3704 0.6649 0.4094  2 Bi 2.17-2.18
O: 0.3704 0.8351 0.9094  2 Bi 2.17-2.18
O: 0.3848 0.0611 0.9268  1 Bi 2.12
O: 0.3848 0.4389 0.4268  1 Bi 2.12
O: 0.3932 0.6328 0.1918  1 Bi 2.12
O: 0.3932 0.8672 0.6918  1 Bi 2.12
O: 0.4081 0.2493 0.6708  3 Bi 2.20-2.31
O: 0.4081 0.2507 0.1708  3 Bi 2.20-2.31
O: 0.4148 0.6472 0.6669  3 Bi 2.18-2.28
O: 0.4148 0.8528 0.1669  3 Bi 2.18-2.28
O: 0.4619 0.0252 0.7165  2 Bi 2.19
O: 0.4619 0.4748 0.2165  2 Bi 2.19
O: 0.5381 0.5252 0.7835  2 Bi 2.19
O: 0.5381 0.9748 0.2835  2 Bi 2.19
O: 0.5852 0.1472 0.8331  3 Bi 2.18-2.28
O: 0.5852 0.3528 0.3331  3 Bi 2.18-2.28
O: 0.5919 0.7493 0.8292  3 Bi 2.20-2.31
O: 0.5919 0.7507 0.3292  3 Bi 2.20-2.31
O: 0.6068 0.1328 0.3082  1 Bi 2.12
O: 0.6068 0.3672 0.8082  1 Bi 2.12
O: 0.6152 0.5611 0.5732  1 Bi 2.12
O: 0.6152 0.9389 0.0732  1 Bi 2.12
O: 0.6296 0.1649 0.0906  2 Bi 2.17-2.18
O: 0.6296 0.3351 0.5906  2 Bi 2.17-2.18
O: 0.6496 0.1576 0.6122  2 Bi 2.11-2.34
O: 0.6496 0.3424 0.1122  2 Bi 2.11-2.34
O: 0.6678 0.7280 0.6098  2 Bi 2.16-2.21
O: 0.6678 0.7720 0.1098  2 Bi 2.16-2.21
O: 0.6975 0.6093 0.1972  1 Re 1.76
O: 0.6975 0.8907 0.6972  1 Re 1.76
O: 0.8141 0.2434 0.4014  3 Bi 2.15-2.37
O: 0.8141 0.2566 0.9014  3 Bi 2.15-2.37
O: 0.8266 0.6341 0.9028  1 Bi 2.14
O: 0.8266 0.8659 0.4028  1 Bi 2.14
O: 0.8549 0.5464 0.4612  1 Re 1.76
O: 0.8549 0.9536 0.9612  1 Re 1.76
O: 0.8569 0.0148 0.7406  1 Re 1.75
O: 0.8569 0.4852 0.2406  1 Re 1.75
O: 0.8688 0.0341 0.4795  2 Bi 2.13-2.26
O: 0.8688 0.4659 0.9795  2 Bi 2.13-2.26
O: 0.9480 0.2426 0.2591  3 Bi 2.18-2.32
O: 0.9480 0.2574 0.7591  3 Bi 2.18-2.32
O: 0.9572 0.1043 0.1264  1 Re 1.76
O: 0.9572 0.3957 0.6264  1 Re 1.76
O: 0.9768 0.6362 0.7744  3 Bi 2.16-2.30
O: 0.9768 0.8638 0.2744  3 Bi 2.16-2.30

Computed properties:
- DFT total energy: -0.455 Ry per atom
- Space-group type: No. 14

# 6
Compound: NaCdF3
Source: the Materials Project database
Functional: PBE
Structure: optimized geometry

Cell: 6.1391 6.1391 6.1391 Å, 56.71 56.71 56.71°
With the nearest neighbours (Å) after each atom.
Element x y z (fractional)
Na: 0.0000 0.0000 0.0000  6 F 2.30-2.43
Na: 0.5000 0.5000 0.5000  6 F 2.30-2.43
Cd: 0.2105 0.2105 0.2105  6 F 2.24-2.32
Cd: 0.7105 0.7105 0.7105  6 F 2.24-2.32
F: 0.0939 0.8223 0.4156  2 Cd 2.24-2.32, 2 Na 2.30-2.43
F: 0.3223 0.5939 0.9156  2 Cd 2.24-2.32, 2 Na 2.30-2.43
F: 0.4156 0.0939 0.8223  2 Cd 2.24-2.32, 2 Na 2.30-2.43
F: 0.5939 0.9156 0.3223  2 Cd 2.24-2.32, 2 Na 2.30-2.43
F: 0.8223 0.4156 0.0939  2 Cd 2.24-2.32, 2 Na 2.30-2.43
F: 0.9156 0.3223 0.5939  2 Cd 2.24-2.32, 2 Na 2.30-2.43

Computed properties:
- DFT total energy: -0.293 Ry per atom
- Space-group type: No. 161
- Piezoelectric modulus e_max: 0.5 C/m2